## Be3V2Si3O12 (PBE+U)

Data for a relaxed structure of Be3V2Si3O12.

Calculated values
The value obtained for the formation enthalpy at 0 K is -2.904 eV/atom. The value obtained for the total energy is -7.574 eV per atom.

Cell lengths 8.0518, 7.5519, 15.9322 Å; angles 90.00, 119.92, 90.00 degrees
Closest atoms and distances in Å follow each position.
Space group P2_1/c (No. 14)
One atom of each set of equivalent atoms:
Be1 0.0300 0.1494 0.4155 [4 per cell]  3 O 1.53-1.70
Be2 0.3080 0.1497 0.2343 [4 per cell]  3 O 1.53-1.67
Be3 0.3323 0.6537 0.4024 [4 per cell]  3 O 1.54-1.68
V1 0.3209 0.0601 0.0702 [4 per cell]  6 O 2.01-2.24
V2 0.3328 0.0440 0.5918 [4 per cell]  4 O 2.01-2.10
Si1 0.0336 0.7326 0.9185 [4 per cell]  4 O 1.59-1.70
Si2 0.3077 0.7299 0.7344 [4 per cell]  4 O 1.58-1.71
Si3 0.3428 0.2348 0.9022 [4 per cell]  4 O 1.59-1.71
O1 0.0996 0.2482 0.0260 [4 per cell]  1 Si 1.70, 1 Be 1.74
O2 0.1206 0.2400 0.8680 [4 per cell]  1 Be 1.53, 1 Si 1.59
O3 0.1211 0.2452 0.6931 [4 per cell]  1 Be 1.53, 1 Si 1.59
O4 0.1422 0.5395 0.9576 [4 per cell]  1 Be 1.64, 1 Si 1.65
O5 0.2115 0.6209 0.1448 [4 per cell]  1 Si 1.67, 1 Be 1.70
O6 0.2129 0.6230 0.4629 [4 per cell]  1 Si 1.66, 1 Be 1.68
O7 0.2313 0.7368 0.8087 [4 per cell]  1 Be 1.54, 1 Si 1.58
O8 0.2847 0.5412 0.6769 [4 per cell]  1 Si 1.65, 1 Be 1.67
O9 0.4175 0.0371 0.8902 [4 per cell]  1 Be 1.65, 1 Si 1.66
O10 0.4330 0.1247 0.3541 [4 per cell]  1 Be 1.67, 1 Si 1.67
O11 0.4481 0.2387 0.5249 [4 per cell]  1 Si 1.71, 1 Be 1.76
O12 0.4492 0.2489 0.6945 [4 per cell]  1 Si 1.71, 1 Be 1.73